Density functional theory data (r2SCAN) for a relaxed Ba3SiS5 crystal.

Cell: 8.6575 9.5374 12.0785 Å, 90.00 90.00 90.00°
Sites, in units of the cell vectors:
Ba  0.8861  0.7500  0.4784
Ba  0.3861  0.2500  0.0216
Ba  0.1139  0.2500  0.5216
Ba  0.6139  0.7500  0.9784
Ba  0.0769  0.9806  0.8180
Ba  0.5769  0.0194  0.6820
Ba  0.9231  0.4806  0.1820
Ba  0.4231  0.5194  0.3180
Ba  0.9231  0.0194  0.1820
Ba  0.4231  0.9806  0.3180
Ba  0.0769  0.5194  0.8180
Ba  0.5769  0.4806  0.6820
Si  0.3060  0.7500  0.5972
Si  0.1940  0.7500  0.0972
Si  0.6940  0.2500  0.4028
Si  0.8060  0.2500  0.9028
S  0.6829  0.7500  0.2344
S  0.1829  0.2500  0.2656
S  0.3171  0.2500  0.7656
S  0.8171  0.7500  0.7344
S  0.9865  0.7500  0.0060
S  0.4865  0.2500  0.4940
S  0.0135  0.2500  0.9940
S  0.5135  0.7500  0.5060
S  0.1504  0.7500  0.2710
S  0.3496  0.7500  0.7710
S  0.8496  0.2500  0.7290
S  0.6504  0.2500  0.2290
S  0.6852  0.0661  0.9446
S  0.1852  0.9339  0.5554
S  0.3148  0.5661  0.0554
S  0.8148  0.4339  0.4446
S  0.3148  0.9339  0.0554
S  0.8148  0.0661  0.4446
S  0.6852  0.4339  0.9446
S  0.1852  0.5661  0.5554

Density = 4.0 g cm⁻³
ΔH_f (0 K) = -1.961 eV per atom
Symmetry = Pnma (62)
E_tot = -146.1 eV per formula unit